# 1
VASP calculation (PBE) on CaYCd2 after structural relaxation.

```
CaYCd2
1.0
0.0000 3.7858 3.7858
3.7858 0.0000 3.7858
3.7858 3.7858 0.0000
Ca Y Cd
1 1 2
Direct
0.0000 0.0000 0.0000 Ca
0.5000 0.5000 0.5000 Y
0.2500 0.2500 0.2500 Cd
0.7500 0.7500 0.7500 Cd
```

Computed properties:
symmetry	Fm-3m
energy of formation	-0.354	eV per atom
electronic total energy	-2.933	eV/atom

=====

# 2
VASP calculation (PBE) on RbTlF3 after structural relaxation.

```
RbTlF3
1.0
3.3694 -3.3473 0.0000
3.3694 3.3473 0.0000
-0.0475 0.0000 4.7466
Rb Tl F
1 1 3
Direct
0.0000 0.0000 0.0000 Rb
0.5023 0.5023 0.5060 Tl
0.0024 0.5027 0.5069 F
0.5027 0.0024 0.5069 F
0.5160 0.5160 0.0067 F
```

Computed properties:
symmetry	Cm
energy of formation	-2.427	eV per atom
electronic total energy	-3.967	eV/atom

=====

# 3
VASP calculation (PBE) on CdB2F8 after structural relaxation.

```
CdB2F8
1.0
8.9184 0.0000 0.0000
0.0000 13.4903 0.0000
0.0000 0.0000 9.2894
Cd B F
8 16 64
Direct
0.2178 0.1043 0.0324 Cd
0.2178 0.3957 0.5324 Cd
0.2822 0.6043 0.0324 Cd
0.2822 0.8957 0.5324 Cd
0.7178 0.1043 0.4676 Cd
0.7178 0.3957 0.9676 Cd
0.7822 0.6043 0.4676 Cd
0.7822 0.8957 0.9676 Cd
0.0031 0.0582 0.7218 B
0.0031 0.4418 0.2218 B
0.1821 0.6583 0.3946 B
0.1821 0.8417 0.8946 B
0.3179 0.1583 0.3946 B
0.3179 0.3417 0.8946 B
0.4969 0.5582 0.7218 B
0.4969 0.9418 0.2218 B
0.5031 0.0582 0.7782 B
0.5031 0.4418 0.2782 B
0.6821 0.6583 0.1054 B
0.6821 0.8417 0.6054 B
0.8179 0.1583 0.1054 B
0.8179 0.3417 0.6054 B
0.9969 0.5582 0.7782 B
0.9969 0.9418 0.2782 B
0.0250 0.6679 0.4138 F
0.0250 0.8321 0.9138 F
0.0779 0.6195 0.8749 F
0.0779 0.8805 0.3749 F
0.0791 0.5161 0.1441 F
0.0791 0.9839 0.6441 F
0.0984 0.5133 0.6798 F
0.0984 0.9867 0.1798 F
0.1048 0.1177 0.8011 F
0.1048 0.3823 0.3011 F
0.2212 0.6828 0.2506 F
0.2212 0.8172 0.7506 F
0.2277 0.5599 0.4237 F
0.2277 0.9401 0.9237 F
0.2425 0.2240 0.4893 F
0.2425 0.2760 0.9893 F
0.2575 0.7240 0.4893 F
0.2575 0.7760 0.9893 F
0.2723 0.0599 0.4237 F
0.2723 0.4401 0.9237 F
0.2788 0.1828 0.2506 F
0.2788 0.3172 0.7506 F
0.3952 0.6177 0.8011 F
0.3952 0.8823 0.3011 F
0.4016 0.0133 0.6798 F
0.4016 0.4867 0.1798 F
0.4209 0.0161 0.1441 F
0.4209 0.4839 0.6441 F
0.4221 0.1195 0.8749 F
0.4221 0.3805 0.3749 F
0.4750 0.1679 0.4138 F
0.4750 0.3321 0.9138 F
0.5250 0.6679 0.0862 F
0.5250 0.8321 0.5862 F
0.5779 0.6195 0.6251 F
0.5779 0.8805 0.1251 F
0.5791 0.5161 0.3559 F
0.5791 0.9839 0.8559 F
0.5984 0.5133 0.8202 F
0.5984 0.9867 0.3202 F
0.6048 0.1177 0.6989 F
0.6048 0.3823 0.1989 F
0.7212 0.6828 0.2494 F
0.7212 0.8172 0.7494 F
0.7277 0.5599 0.0763 F
0.7277 0.9401 0.5763 F
0.7425 0.2240 0.0107 F
0.7425 0.2760 0.5107 F
0.7575 0.7240 0.0107 F
0.7575 0.7760 0.5107 F
0.7723 0.0599 0.0763 F
0.7723 0.4401 0.5763 F
0.7788 0.1828 0.2494 F
0.7788 0.3172 0.7494 F
0.8952 0.6177 0.6989 F
0.8952 0.8823 0.1989 F
0.9016 0.0133 0.8202 F
0.9016 0.4867 0.3202 F
0.9209 0.0161 0.3559 F
0.9209 0.4839 0.8559 F
0.9221 0.1195 0.6251 F
0.9221 0.3805 0.1251 F
0.9750 0.1679 0.0862 F
0.9750 0.3321 0.5862 F
```

Computed properties:
symmetry	Pbca
energy of formation	-2.996	eV per atom
electronic total energy	-5.351	eV/atom

=====

# 4
VASP calculation (PBE) on Na5HfSc3Si3S3O24 after structural relaxation.

```
Na5HfSc3Si3S3O24
1.0
9.0678 0.0000 0.0000
4.5110 7.8676 0.0000
0.0498 0.1119 22.8739
Na Hf Sc Si S O
15 3 9 9 9 72
Direct
0.0000 0.0000 0.0000 Na
0.0018 0.2915 0.9208 Na
0.0034 0.9904 0.4974 Na
0.0305 0.3402 0.2431 Na
0.3116 0.0225 0.0835 Na
0.3341 0.3363 0.1636 Na
0.3489 0.9619 0.4099 Na
0.3554 0.3365 0.6589 Na
0.3640 0.6739 0.9078 Na
0.3867 0.9695 0.7535 Na
0.6472 0.3520 0.7462 Na
0.6675 0.9627 0.2537 Na
0.6811 0.6562 0.8309 Na
0.6978 0.6566 0.3291 Na
0.7355 0.2921 0.4198 Na
0.3461 0.3073 0.3126 Hf
0.6940 0.6349 0.9797 Hf
0.7070 0.6328 0.4792 Hf
0.0265 0.9704 0.6426 Sc
0.0283 0.9645 0.3493 Sc
0.0324 0.9746 0.8510 Sc
0.0329 0.9760 0.1489 Sc
0.3605 0.2998 0.0151 Sc
0.3674 0.3134 0.8156 Sc
0.3720 0.2961 0.5165 Sc
0.6829 0.6337 0.6799 Sc
0.7038 0.6384 0.1848 Sc
0.0299 0.6837 0.2468 Si
0.0658 0.3067 0.4167 Si
0.3156 0.6812 0.7479 Si
0.3235 0.9694 0.2488 Si
0.3628 0.0139 0.9135 Si
0.6543 0.0144 0.4143 Si
0.6547 0.3041 0.9153 Si
0.6903 0.3417 0.5821 Si
0.9909 0.3435 0.0824 Si
0.0256 0.2698 0.7476 S
0.0654 0.6014 0.9152 S
0.3587 0.5989 0.4165 S
0.3992 0.9345 0.5816 S
0.4004 0.6405 0.0818 S
0.6940 0.9336 0.0813 S
0.7312 0.2691 0.2487 S
0.7353 0.9735 0.7479 S
0.9844 0.6413 0.5827 S
0.0125 0.1512 0.0830 O
0.0446 0.1392 0.4107 O
0.0466 0.7716 0.9081 O
0.0469 0.7779 0.1888 O
0.0478 0.1614 0.6970 O
0.1396 0.4936 0.8631 O
0.1464 0.3385 0.3564 O
0.1515 0.4890 0.5770 O
0.1706 0.5245 0.9673 O
0.1819 0.2821 0.7532 O
0.1838 0.3205 0.0780 O
0.1890 0.2815 0.4706 O
0.1934 0.9881 0.9091 O
0.1971 0.7865 0.6927 O
0.1982 0.4930 0.2533 O
0.2018 0.0133 0.1907 O
0.2125 0.7720 0.4102 O
0.2302 0.9476 0.5857 O
0.2329 0.7995 0.0839 O
0.2342 0.7943 0.8078 O
0.2340 0.9522 0.3078 O
0.3225 0.1354 0.9706 O
0.3355 0.5206 0.4686 O
0.3436 0.1446 0.2534 O
0.3476 0.4853 0.7514 O
0.3809 0.1049 0.5779 O
0.3809 0.4907 0.0753 O
0.3819 0.1031 0.8537 O
0.3901 0.4922 0.3637 O
0.4835 0.6656 0.0274 O
0.4860 0.8302 0.5293 O
0.5023 0.8532 0.6351 O
0.5047 0.6226 0.1327 O
0.5094 0.6660 0.7436 O
0.5164 0.3312 0.5780 O
0.5160 0.6173 0.4218 O
0.5159 0.8101 0.2409 O
0.5284 0.8222 0.9221 O
0.5362 0.1022 0.0757 O
0.5359 0.1034 0.3553 O
0.5366 0.3507 0.8560 O
0.5536 0.2904 0.9709 O
0.5605 0.1290 0.7524 O
0.5601 0.2857 0.2552 O
0.5633 0.1421 0.4689 O
0.6524 0.8338 0.4230 O
0.6668 0.8562 0.1345 O
0.6718 0.4554 0.6412 O
0.6770 0.4778 0.9221 O
0.7094 0.8272 0.0294 O
0.7108 0.4445 0.5250 O
0.7113 0.8236 0.7421 O
0.7137 0.4392 0.2417 O
0.8096 0.1604 0.1972 O
0.8134 0.0031 0.6959 O
0.8352 0.1948 0.3020 O
0.8352 0.9540 0.8009 O
0.8407 0.9973 0.4088 O
0.8455 0.9515 0.0843 O
0.8468 0.1447 0.9081 O
0.8641 0.1557 0.5875 O
0.8635 0.6523 0.2425 O
0.8712 0.4742 0.4208 O
0.8724 0.4422 0.7420 O
0.8761 0.4441 0.0238 O
0.8768 0.6654 0.5293 O
0.8929 0.6190 0.9219 O
0.8947 0.4554 0.1401 O
0.8970 0.6253 0.6347 O
0.9859 0.8076 0.3028 O
0.9946 0.1955 0.8017 O
0.9991 0.7968 0.5855 O
```

Computed properties:
symmetry	P1
energy of formation	-2.845	eV per atom
electronic total energy	-7.115	eV/atom

=====

# 5
VASP calculation (PBE) on Rb3Sb5O14 after structural relaxation.

```
Rb3Sb5O14
1.0
7.3201 0.0000 0.0000
0.0000 24.9386 0.0000
0.0000 0.0000 7.4953
Rb Sb O
12 20 56
Direct
0.1045 0.2084 0.0000 Rb
0.1072 0.1148 0.5000 Rb
0.2288 0.4868 0.5000 Rb
0.2712 0.9868 0.5000 Rb
0.3928 0.6148 0.5000 Rb
0.3955 0.7084 0.0000 Rb
0.6045 0.2916 0.0000 Rb
0.6072 0.3852 0.5000 Rb
0.7288 0.0132 0.5000 Rb
0.7712 0.5132 0.5000 Rb
0.8928 0.8852 0.5000 Rb
0.8955 0.7916 0.0000 Rb
0.0836 0.9436 0.0000 Sb
0.0936 0.5625 0.0000 Sb
0.1122 0.3544 0.2637 Sb
0.1122 0.3544 0.7363 Sb
0.1659 0.7449 0.5000 Sb
0.3341 0.2449 0.5000 Sb
0.3878 0.8544 0.2637 Sb
0.3878 0.8544 0.7363 Sb
0.4064 0.0625 0.0000 Sb
0.4164 0.4436 0.0000 Sb
0.5836 0.5564 0.0000 Sb
0.5936 0.9375 0.0000 Sb
0.6122 0.1456 0.2637 Sb
0.6122 0.1456 0.7363 Sb
0.6659 0.7551 0.5000 Sb
0.8341 0.2551 0.5000 Sb
0.8878 0.6456 0.2637 Sb
0.8878 0.6456 0.7363 Sb
0.9064 0.4375 0.0000 Sb
0.9164 0.0564 0.0000 Sb
0.0000 0.0000 0.1777 O
0.0000 0.0000 0.8223 O
0.0308 0.3567 0.0000 O
0.0468 0.5754 0.2536 O
0.0468 0.5754 0.7464 O
0.0761 0.2199 0.5000 O
0.1133 0.6874 0.3137 O
0.1133 0.6874 0.6863 O
0.1600 0.0926 0.0000 O
0.1595 0.4829 0.0000 O
0.1636 0.8976 0.1971 O
0.1636 0.8976 0.8029 O
0.1749 0.3808 0.5000 O
0.2267 0.7909 0.2790 O
0.2267 0.7909 0.7210 O
0.2733 0.2909 0.2790 O
0.2733 0.2909 0.7210 O
0.3251 0.8808 0.5000 O
0.3364 0.3976 0.1971 O
0.3364 0.3976 0.8029 O
0.3400 0.5926 0.0000 O
0.3405 0.9829 0.0000 O
0.3867 0.1874 0.3137 O
0.3867 0.1874 0.6863 O
0.4239 0.7199 0.5000 O
0.4532 0.0754 0.2536 O
0.4532 0.0754 0.7464 O
0.4692 0.8567 0.0000 O
0.5000 0.5000 0.1777 O
0.5000 0.5000 0.8223 O
0.5308 0.1433 0.0000 O
0.5468 0.9246 0.2536 O
0.5468 0.9246 0.7464 O
0.5761 0.2801 0.5000 O
0.6133 0.8126 0.3137 O
0.6133 0.8126 0.6863 O
0.6595 0.0171 0.0000 O
0.6600 0.4074 0.0000 O
0.6636 0.6024 0.1971 O
0.6636 0.6024 0.8029 O
0.6749 0.1192 0.5000 O
0.7267 0.7091 0.2790 O
0.7267 0.7091 0.7210 O
0.7733 0.2091 0.2790 O
0.7733 0.2091 0.7210 O
0.8251 0.6192 0.5000 O
0.8364 0.1024 0.1971 O
0.8364 0.1024 0.8029 O
0.8405 0.5171 0.0000 O
0.8400 0.9074 0.0000 O
0.8867 0.3126 0.3137 O
0.8867 0.3126 0.6863 O
0.9239 0.7801 0.5000 O
0.9532 0.4246 0.2536 O
0.9532 0.4246 0.7464 O
0.9692 0.6433 0.0000 O
```

Computed properties:
symmetry	Pbam
energy of formation	-1.973	eV per atom
electronic total energy	-5.757	eV/atom

=====

# 6
VASP calculation (PBE) on Cs2HgIrF6 after structural relaxation.

```
Cs2HgIrF6
1.0
0.0000 4.8178 4.8178
4.8178 0.0000 4.8178
4.8178 4.8178 0.0000
Cs Hg Ir F
2 1 1 6
Direct
0.2500 0.2500 0.2500 Cs
0.7500 0.7500 0.7500 Cs
0.0000 0.0000 0.0000 Hg
0.5000 0.5000 0.5000 Ir
0.2953 0.2953 0.7047 F
0.2953 0.7047 0.2953 F
0.2953 0.7047 0.7047 F
0.7047 0.2953 0.2953 F
0.7047 0.2953 0.7047 F
0.7047 0.7047 0.2953 F
```

Computed properties:
symmetry	Fm-3m
energy of formation	-2.171	eV per atom
electronic total energy	-4.136	eV/atom

=====

# 7
VASP calculation (PBE) on SrI2O7 after structural relaxation.

```
SrI2O7
1.0
6.3072 -3.9957 0.0000
6.3072 3.9957 0.0000
-5.5568 0.0000 6.6380
Sr I O
2 4 14
Direct
0.1577 0.8423 0.7500 Sr
0.8423 0.1577 0.2500 Sr
0.2838 0.3469 0.2947 I
0.3469 0.2838 0.7947 I
0.6531 0.7162 0.2053 I
0.7162 0.6531 0.7053 I
0.0816 0.2032 0.6263 O
0.1702 0.8298 0.2500 O
0.2032 0.0816 0.1263 O
0.2172 0.4025 0.4934 O
0.2584 0.5801 0.9062 O
0.4025 0.2172 0.9934 O
0.4199 0.7416 0.5938 O
0.5801 0.2584 0.4062 O
0.5975 0.7828 0.0066 O
0.7416 0.4199 0.0938 O
0.7828 0.5975 0.5066 O
0.7968 0.9184 0.8737 O
0.8298 0.1702 0.7500 O
0.9184 0.7968 0.3737 O
```

Computed properties:
symmetry	C2/c
energy of formation	-1.182	eV per atom
electronic total energy	-4.639	eV/atom

=====

# 8
VASP calculation (PBE) on Ce3Cu4Sn4 after structural relaxation.

```
Ce3Cu4Sn4
1.0
-2.3128 3.4854 7.4851
2.3128 -3.4854 7.4851
2.3128 3.4854 -7.4851
Ce Cu Sn
3 4 4
Direct
0.0000 0.0000 0.0000 Ce
0.3670 0.8670 0.5000 Ce
0.6330 0.1330 0.5000 Ce
0.0157 0.3323 0.6833 Cu
0.3510 0.6677 0.6833 Cu
0.6490 0.3323 0.3167 Cu
0.9843 0.6677 0.3167 Cu
0.2165 0.2165 0.0000 Sn
0.2976 0.5000 0.7976 Sn
0.7024 0.5000 0.2024 Sn
0.7835 0.7835 0.0000 Sn
```

Computed properties:
symmetry	Immm
energy of formation	-0.447	eV per atom
electronic total energy	-5.014	eV/atom